Entry 1:
Li5TlO4 | r2SCAN | optimized geometry

Geometry as CIF:
```
data_Li5TlO4
_cell_length_a 13.177
_cell_length_b 13.177
_cell_length_c 4.701
_cell_angle_alpha 90.00
_cell_angle_beta 90.00
_cell_angle_gamma 90.00
_space_group_name_H-M_alt 'P 42/n m c'
_space_group_IT_number 137
loop_
_space_group_symop_operation_xyz
'x,y,z'
'-x,-y,-z'
'-y+1/2,x,z+1/2'
'y+1/2,-x,-z+1/2'
'-x+1/2,-y+1/2,z'
'x+1/2,y+1/2,-z'
'y,-x+1/2,z+1/2'
'-y,x+1/2,-z+1/2'
'x+1/2,-y,-z'
'-x+1/2,y,z'
'-y,-x,-z+1/2'
'y,x,z+1/2'
'-x,y+1/2,-z'
'x,-y+1/2,z'
'y+1/2,x+1/2,-z+1/2'
'-y+1/2,-x+1/2,z+1/2'
loop_
_atom_site_label
_atom_site_type_symbol
_atom_site_fract_x
_atom_site_fract_y
_atom_site_fract_z
Li1 Li 0.011 0.511 0.250
Li2 Li 0.110 0.141 0.184
Li3 Li 0.120 0.620 0.750
Li4 Li 0.250 0.250 0.156
Li5 Li 0.250 0.750 0.250
Li6 Li 0.250 0.750 0.750
Tl1 Tl 0.023 0.750 0.289
O1 O 0.010 0.114 0.469
O2 O 0.134 0.250 0.912
O3 O 0.136 0.750 0.976
```

Summary:
total magnetic moment	0.00	μB per cell
formation enthalpy at 0 K	-170.08	kJ/mol of atoms

---

Entry 2:
Sc3C4 | r2SCAN | optimized geometry

Geometry as CIF:
```
data_Sc3C4
_cell_length_a 7.516
_cell_length_b 7.516
_cell_length_c 15.050
_cell_angle_alpha 90.00
_cell_angle_beta 90.00
_cell_angle_gamma 90.00
_space_group_name_H-M_alt 'P 4/m n c'
_space_group_IT_number 128
_space_group_name_Hall '-P 4 2n'
loop_
_atom_site_label
_atom_site_type_symbol
_atom_site_fract_x
_atom_site_fract_y
_atom_site_fract_z
Sc1 Sc 0.000 0.000 0.000
Sc2 Sc 0.000 0.000 0.312
Sc3 Sc 0.097 0.302 0.500
Sc4 Sc 0.100 0.713 0.144
C1 C 0.000 0.000 0.157
C2 C 0.000 0.000 0.457
C3 C 0.097 0.307 0.332
C4 C 0.106 0.697 0.000
C5 C 0.150 0.350 0.250
```

Summary:
total magnetic moment	0.00	μB per cell
formation enthalpy at 0 K	-52.29	kJ/mol of atoms

---

Entry 3:
Ba3Y4O9 | r2SCAN | optimized geometry

Geometry as CIF:
```
data_Ba3Y4O9
_cell_length_a 6.1095
_cell_length_b 6.1095
_cell_length_c 25.4631
_cell_angle_alpha 90.00
_cell_angle_beta 90.00
_cell_angle_gamma 120.00
_space_group_name_H-M_alt 'R 3'
_space_group_IT_number 146
_space_group_name_Hall 'R 3'
loop_
_atom_site_label
_atom_site_type_symbol
_atom_site_fract_x
_atom_site_fract_y
_atom_site_fract_z
Ba1 Ba 0.0000 0.0000 0.0000
Ba2 Ba 0.0000 0.0000 0.1652
Ba3 Ba 0.0000 0.0000 0.5807
Y1 Y 0.0000 0.0000 0.3009
Y2 Y 0.0000 0.0000 0.4260
Y3 Y 0.0000 0.0000 0.7393
Y4 Y 0.0000 0.0000 0.8647
O1 O 0.9995 0.4403 0.5827
O2 O 0.0143 0.5666 0.0268
O3 O 0.1168 0.7704 0.4726
```

Summary:
total magnetic moment	0.00	μB per cell
formation enthalpy at 0 K	-332.91	kJ/mol of atoms